1.
# Na8ZnSi5Sn3SO24 | the Materials Project database | GGA-PBE | optimized geometry
# Space group: P1, No. 1
data_Na8ZnSi5Sn3SO24
_cell_length_a 9.163
_cell_length_b 9.153
_cell_length_c 22.482
_cell_angle_alpha 90.53
_cell_angle_beta 90.38
_cell_angle_gamma 120.09
_space_group_name_H-M_alt 'P 1'
_space_group_IT_number 1
loop_
_space_group_symop_operation_xyz
'x,y,z'
loop_
_atom_site_label
_atom_site_type_symbol
_atom_site_fract_x
_atom_site_fract_y
_atom_site_fract_z
Zn1 Zn 0.996 0.012 0.358
Zn2 Zn 0.680 0.333 0.170
Zn3 Zn 0.647 0.329 0.689
O1 O 0.171 0.187 0.414
O2 O 0.375 0.879 0.859
O3 O 0.505 0.625 0.858
O4 O 0.969 0.176 0.309
O5 O 0.495 0.848 0.078
O6 O 0.522 0.825 0.754
O7 O 0.184 0.964 0.196
O8 O 0.963 0.788 0.809
O9 O 0.168 0.214 0.690
O10 O 0.490 0.372 0.146
O11 O 0.157 0.700 0.476
O12 O 0.121 0.495 0.859
O13 O 0.501 0.880 0.356
O14 O 0.832 0.017 0.089
O15 O 0.180 0.489 0.255
O16 O 0.629 0.509 0.641
O17 O 0.978 0.181 0.586
O18 O 0.787 0.960 0.689
O19 O 0.841 0.552 0.026
O20 O 0.535 0.698 0.254
O21 O 0.642 0.149 0.422
O22 O 0.836 0.823 0.587
O23 O 0.302 0.479 0.754
O24 O 0.344 0.844 0.578
O25 O 0.852 0.488 0.423
O26 O 0.547 0.844 0.474
O27 O 0.355 0.503 0.079
O28 O 0.176 0.693 0.755
O29 O 0.855 0.304 0.527
O30 O 0.293 0.842 0.976
O31 O 0.456 0.295 0.026
O32 O 0.493 0.644 0.577
O33 O 0.473 0.310 0.749
O34 O 0.853 0.357 0.922
O35 O 0.133 0.488 0.577
O36 O 0.835 0.517 0.744
O37 O 0.549 0.707 0.976
O38 O 0.022 0.186 0.913
O39 O 0.019 0.832 0.410
O40 O 0.508 0.362 0.420
O41 O 0.809 0.975 0.412
O42 O 0.497 0.117 0.641
O43 O 0.708 0.161 0.026
O44 O 0.893 0.521 0.145
O45 O 0.981 0.819 0.093
O46 O 0.783 0.813 0.197
O47 O 0.152 0.650 0.078
O48 O 0.294 0.459 0.475
O49 O 0.833 0.319 0.248
O50 O 0.163 0.978 0.913
O51 O 0.711 0.554 0.524
O52 O 0.681 0.536 0.246
O53 O 0.826 0.035 0.809
O54 O 0.205 0.172 0.809
O55 O 0.885 0.363 0.636
O56 O 0.044 0.215 0.193
O57 O 0.310 0.841 0.254
O58 O 0.158 0.451 0.976
O59 O 0.183 0.025 0.587
O60 O 0.460 0.150 0.247
O61 O 0.110 0.621 0.358
O62 O 0.048 0.821 0.691
O63 O 0.815 0.837 0.913
O64 O 0.209 0.018 0.305
O65 O 0.643 0.496 0.922
O66 O 0.189 0.163 0.088
O67 O 0.621 0.106 0.145
O68 O 0.693 0.169 0.745
O69 O 0.382 0.495 0.358
O70 O 0.504 0.147 0.923
O71 O 0.450 0.154 0.523
O72 O 0.813 0.789 0.304
Sn1 Sn 0.668 0.335 0.982
Sn2 Sn 0.999 0.999 0.852
Sn3 Sn 0.342 0.676 0.516
Sn4 Sn 0.001 0.989 0.653
Sn5 Sn 0.659 0.336 0.481
Sn6 Sn 0.323 0.655 0.322
Sn7 Sn 0.334 0.667 0.815
Sn8 Sn 0.005 0.013 0.145
Sn9 Sn 0.334 0.666 0.017
Na1 Na 0.965 0.666 0.915
Na2 Na 0.663 0.694 0.079
Na3 Na 0.676 0.332 0.333
Na4 Na 0.700 0.034 0.915
Na5 Na 0.314 0.333 0.588
Na6 Na 0.341 0.673 0.672
Na7 Na 0.667 0.333 0.828
Na8 Na 0.328 0.661 0.160
Na9 Na 0.966 0.290 0.412
Na10 Na 0.645 0.019 0.247
Na11 Na 0.032 0.706 0.584
Na12 Na 0.633 0.621 0.748
Na13 Na 0.379 0.010 0.748
Na14 Na 0.001 0.994 0.496
Na15 Na 0.307 0.970 0.079
Na16 Na 0.032 0.339 0.081
Na17 Na 0.660 0.964 0.590
Na18 Na 0.710 0.677 0.418
Na19 Na 0.334 0.300 0.915
Na20 Na 0.365 0.363 0.244
Na21 Na 0.322 0.032 0.418
Na22 Na 0.001 0.001 0.996
Na23 Na 0.989 0.365 0.752
Na24 Na 0.988 0.614 0.245
S1 S 0.292 0.998 0.252
S2 S 0.707 0.708 0.251
S3 S 0.961 0.334 0.583
Si1 Si 0.627 0.962 0.416
Si2 Si 0.662 0.038 0.084
Si3 Si 0.040 0.374 0.916
Si4 Si 0.627 0.667 0.917
Si5 Si 0.963 0.629 0.086
Si6 Si 0.334 0.373 0.418
Si7 Si 0.998 0.295 0.253
Si8 Si 0.333 0.960 0.917
Si9 Si 0.380 0.337 0.086
Si10 Si 0.000 0.701 0.751
Si11 Si 0.707 0.001 0.750
Si12 Si 0.372 0.039 0.584
Si13 Si 0.667 0.628 0.585
Si14 Si 0.035 0.665 0.418
Si15 Si 0.289 0.292 0.751


2.
# Na6Zn2Si3Sn2S3O24 | the Materials Project database | GGA-PBE | optimized geometry
# Space group: P1, No. 1
data_Na6Zn2Si3Sn2S3O24
_cell_length_a 9.066
_cell_length_b 9.075
_cell_length_c 22.313
_cell_angle_alpha 89.77
_cell_angle_beta 90.62
_cell_angle_gamma 119.58
_space_group_name_H-M_alt 'P 1'
_space_group_IT_number 1
loop_
_space_group_symop_operation_xyz
'x,y,z'
loop_
_atom_site_label
_atom_site_type_symbol
_atom_site_fract_x
_atom_site_fract_y
_atom_site_fract_z
O1 O 0.556 0.870 0.471
O2 O 0.517 0.630 0.866
O3 O 0.864 0.513 0.148
O4 O 0.781 0.812 0.194
O5 O 0.429 0.151 0.523
O6 O 0.842 0.306 0.521
O7 O 0.511 0.351 0.421
O8 O 0.011 0.202 0.913
O9 O 0.296 0.485 0.759
O10 O 0.650 0.141 0.418
O11 O 0.864 0.355 0.643
O12 O 0.981 0.198 0.308
O13 O 0.169 0.188 0.415
O14 O 0.524 0.653 0.578
O15 O 0.696 0.168 0.750
O16 O 0.475 0.107 0.642
O17 O 0.986 0.781 0.809
O18 O 0.110 0.478 0.862
O19 O 0.699 0.550 0.252
O20 O 0.646 0.503 0.920
O21 O 0.031 0.821 0.700
O22 O 0.513 0.835 0.750
O23 O 0.180 0.226 0.693
O24 O 0.176 0.951 0.194
O25 O 0.953 0.807 0.087
O26 O 0.366 0.482 0.353
O27 O 0.865 0.370 0.922
O28 O 0.801 0.810 0.913
O29 O 0.149 0.666 0.085
O30 O 0.829 0.803 0.588
O31 O 0.836 0.533 0.026
O32 O 0.531 0.690 0.253
O33 O 0.786 0.963 0.688
O34 O 0.161 0.692 0.754
O35 O 0.165 0.982 0.915
O36 O 0.814 0.815 0.304
O37 O 0.520 0.889 0.362
O38 O 0.163 0.464 0.253
O39 O 0.866 0.502 0.420
O40 O 0.225 0.028 0.313
O41 O 0.237 0.193 0.812
O42 O 0.359 0.848 0.572
O43 O 0.526 0.871 0.080
O44 O 0.006 0.811 0.408
O45 O 0.856 0.323 0.247
O46 O 0.551 0.680 0.975
O47 O 0.653 0.522 0.635
O48 O 0.702 0.561 0.526
O49 O 0.307 0.812 0.257
O50 O 0.311 0.475 0.473
O51 O 0.142 0.453 0.970
O52 O 0.313 0.849 0.979
O53 O 0.855 0.538 0.746
O54 O 0.960 0.150 0.583
O55 O 0.651 0.123 0.139
O56 O 0.146 0.696 0.466
O57 O 0.109 0.633 0.358
O58 O 0.805 0.987 0.408
O59 O 0.360 0.513 0.074
O60 O 0.830 0.020 0.092
O61 O 0.470 0.369 0.147
O62 O 0.151 0.483 0.583
O63 O 0.356 0.872 0.858
O64 O 0.021 0.205 0.199
O65 O 0.177 0.161 0.087
O66 O 0.169 0.011 0.590
O67 O 0.706 0.143 0.030
O68 O 0.491 0.169 0.244
O69 O 0.508 0.157 0.921
O70 O 0.830 0.014 0.808
O71 O 0.448 0.288 0.027
O72 O 0.494 0.330 0.742
Sn1 Sn 0.657 0.324 0.985
Sn2 Sn 0.649 0.331 0.490
Sn3 Sn 0.355 0.684 0.812
Sn4 Sn 0.005 0.016 0.651
Sn5 Sn 0.014 0.997 0.147
Sn6 Sn 0.342 0.671 0.319
Na1 Na 0.321 0.655 0.156
Na2 Na 0.321 0.281 0.909
Na3 Na 0.377 0.357 0.246
Na4 Na 0.653 0.316 0.823
Na5 Na 0.296 0.335 0.583
Na6 Na 0.324 0.040 0.417
Na7 Na 0.654 0.682 0.079
Na8 Na 0.988 0.352 0.741
Na9 Na 0.649 0.322 0.329
Na10 Na 0.999 0.636 0.236
Na11 Na 0.326 0.668 0.662
Na12 Na 0.006 0.997 0.503
Na13 Na 0.984 0.687 0.917
Na14 Na 0.297 0.958 0.072
Na15 Na 0.983 0.300 0.428
Na16 Na 0.007 0.010 0.993
Na17 Na 0.388 0.024 0.746
Na18 Na 0.655 0.974 0.593
Zn1 Zn 0.030 0.021 0.349
Zn2 Zn 0.648 0.327 0.176
Zn3 Zn 0.023 0.015 0.841
Zn4 Zn 0.304 0.647 0.524
Zn5 Zn 0.654 0.307 0.684
Zn6 Zn 0.300 0.654 0.021
S1 S 0.636 0.967 0.418
S2 S 0.675 0.633 0.585
S3 S 0.000 0.707 0.753
S4 S 0.998 0.292 0.252
S5 S 0.034 0.373 0.917
S6 S 0.675 0.041 0.086
S7 S 0.031 0.664 0.415
S8 S 0.631 0.665 0.920
S9 S 0.711 0.718 0.252
Si1 Si 0.309 0.000 0.253
Si2 Si 0.365 0.340 0.085
Si3 Si 0.956 0.334 0.586
Si4 Si 0.713 0.998 0.752
Si5 Si 0.953 0.619 0.088
Si6 Si 0.335 0.961 0.920
Si7 Si 0.357 0.022 0.585
Si8 Si 0.339 0.378 0.419
Si9 Si 0.310 0.308 0.753


For the records above, the corresponding M_tot values read 0.00 0.00 Bohr magnetons per cell.
For the records above, the corresponding energy of formation values read -103.659 -89.412 eV/f.u..